TmAlGa: relaxed, GGA-PBE.

Results
* formation energy: -539 meV/atom

Unit cell a=4.477 b=4.477 c=3.422 alpha=90.00 beta=90.00 gamma=120.00
Positions (direct):
Tm  0.667  0.333  0.000
Al  0.000  0.000  0.500
Ga  0.333  0.667  0.500